No. 1
{
  "formula": "Bi2CO5",
  "functional": "GGA-PBE",
  "state": "optimized geometry",
  "delta_e_f_ev_per_atom": -1.78,
  "sg": "Pna2_1, No. 33",
  "total_magnetization_mub_per_cell": 0.000,
  "lattice_angstrom": [[5.536, 0.000, 0.000], [0.000, 5.555, 0.000], [0.000, 0.000, 28.026]],
  "species": ["Bi", "Bi", "Bi", "Bi", "Bi", "Bi", "Bi", "Bi", "Bi", "Bi", "Bi", "Bi", "Bi", "Bi", "Bi", "Bi", "C", "C", "C", "C", "C", "C", "C", "C", "O", "O", "O", "O", "O", "O", "O", "O", "O", "O", "O", "O", "O", "O", "O", "O", "O", "O", "O", "O", "O", "O", "O", "O", "O", "O", "O", "O", "O", "O", "O", "O", "O", "O", "O", "O", "O", "O", "O", "O"],
  "frac_coords": [[0.984, 0.489, 0.454], [0.496, 0.539, 0.205], [0.973, 0.497, 0.955], [0.498, 0.982, 0.795], [0.998, 0.018, 0.205], [0.496, 0.039, 0.295], [0.484, 0.511, 0.546], [0.484, 0.011, 0.954], [0.973, 0.997, 0.545], [0.984, 0.989, 0.046], [0.473, 0.003, 0.455], [0.996, 0.961, 0.705], [0.996, 0.461, 0.795], [0.473, 0.503, 0.045], [0.498, 0.482, 0.705], [0.998, 0.518, 0.295], [0.490, 0.992, 0.625], [0.980, 0.010, 0.874], [0.480, 0.990, 0.126], [0.480, 0.490, 0.374], [0.990, 0.008, 0.375], [0.490, 0.492, 0.875], [0.980, 0.510, 0.626], [0.990, 0.508, 0.125], [0.550, 0.942, 0.581], [0.824, 0.353, 0.134], [0.325, 0.638, 0.392], [0.324, 0.647, 0.866], [0.824, 0.853, 0.366], [0.757, 0.268, 0.250], [0.550, 0.442, 0.919], [0.740, 0.741, 0.500], [0.613, 0.353, 0.401], [0.250, 0.277, 0.248], [0.324, 0.147, 0.634], [0.050, 0.058, 0.419], [0.250, 0.777, 0.252], [0.825, 0.362, 0.608], [0.003, 0.025, 0.828], [0.240, 0.259, 0.500], [0.257, 0.732, 0.750], [0.750, 0.223, 0.748], [0.113, 0.647, 0.599], [0.240, 0.759, 0.000], [0.613, 0.853, 0.099], [0.757, 0.768, 0.250], [0.737, 0.247, 0.500], [0.825, 0.862, 0.892], [0.113, 0.147, 0.901], [0.003, 0.525, 0.672], [0.503, 0.975, 0.172], [0.050, 0.558, 0.081], [0.237, 0.253, 0.000], [0.237, 0.753, 0.500], [0.257, 0.232, 0.750], [0.503, 0.475, 0.328], [0.750, 0.723, 0.752], [0.599, 0.882, 0.660], [0.737, 0.747, 0.000], [0.599, 0.382, 0.840], [0.099, 0.118, 0.340], [0.099, 0.618, 0.160], [0.740, 0.241, 0.000], [0.325, 0.138, 0.108]]
}

***

No. 2
{
  "formula": "SiO2",
  "functional": "GGA-PBE",
  "state": "optimized geometry",
  "delta_e_f_ev_per_atom": -2.94,
  "sg": "C2, No. 5",
  "total_magnetization_mub_per_cell": 0.000,
  "lattice_angstrom": [[-1.182, 2.221, 0.984], [-1.396, -2.305, -0.182], [4.467, -3.764, 13.964]],
  "species": ["Si", "Si", "Si", "O", "O", "O", "O", "O", "O"],
  "frac_coords": [[0.815, 0.000, 0.666], [0.184, 0.184, 0.000], [0.000, 0.816, 0.334], [0.851, 0.517, 0.940], [0.483, 0.333, 0.606], [0.517, 0.851, 0.060], [0.668, 0.148, 0.273], [0.148, 0.668, 0.727], [0.333, 0.483, 0.394]]
}

***

No. 3
{
  "formula": "Na3BiBAsO7",
  "functional": "GGA-PBE",
  "state": "optimized geometry",
  "delta_e_f_ev_per_atom": -2.12,
  "sg": "P2_1/m, No. 11",
  "total_magnetization_mub_per_cell": 0.001,
  "lattice_angstrom": [[-2.671, -4.749, 4.908], [4.131, -3.341, -0.985], [5.174, 4.115, 6.797]],
  "species": ["Na", "Na", "Na", "Na", "Na", "Na", "Bi", "Bi", "B", "B", "As", "As", "O", "O", "O", "O", "O", "O", "O", "O", "O", "O", "O", "O", "O", "O"],
  "frac_coords": [[0.250, 0.758, 0.934], [0.010, 0.245, 0.764], [0.490, 0.245, 0.764], [0.510, 0.755, 0.236], [0.990, 0.755, 0.236], [0.750, 0.242, 0.066], [0.750, 0.768, 0.662], [0.250, 0.232, 0.338], [0.750, 0.730, 0.947], [0.250, 0.270, 0.053], [0.250, 0.703, 0.597], [0.750, 0.297, 0.403], [0.250, 0.288, 0.912], [0.750, 0.960, 0.871], [0.750, 0.519, 0.859], [0.067, 0.816, 0.693], [0.433, 0.816, 0.693], [0.250, 0.387, 0.600], [0.750, 0.207, 0.580], [0.250, 0.793, 0.420], [0.750, 0.613, 0.400], [0.567, 0.184, 0.307], [0.933, 0.184, 0.307], [0.250, 0.481, 0.141], [0.250, 0.040, 0.129], [0.750, 0.712, 0.088]]
}

***

No. 4
{
  "formula": "GdGa2",
  "functional": "GGA-PBE",
  "state": "optimized geometry",
  "delta_e_f_ev_per_atom": -0.65,
  "sg": "P6/mmm, No. 191",
  "lattice_angstrom": [[0.177, -1.344, -4.026], [-0.377, -2.811, 3.163], [-4.166, 0.257, -0.269]],
  "species": ["Gd", "Ga", "Ga"],
  "frac_coords": [[0.000, 0.000, 0.000], [0.667, 0.333, 0.500], [0.333, 0.667, 0.500]]
}

***

No. 5
{
  "formula": "Bi2P4O13",
  "functional": "GGA-PBE",
  "state": "optimized geometry",
  "delta_e_f_ev_per_atom": -2.47,
  "sg": "C2/c, No. 15",
  "lattice_angstrom": [[3.493, 6.080, 0.000], [-3.493, 6.080, 0.000], [0.000, 3.698, 12.870]],
  "species": ["Bi", "Bi", "Bi", "Bi", "P", "P", "P", "P", "P", "P", "P", "P", "O", "O", "O", "O", "O", "O", "O", "O", "O", "O", "O", "O", "O", "O", "O", "O", "O", "O", "O", "O", "O", "O", "O", "O", "O", "O"],
  "frac_coords": [[0.697, 0.699, 0.941], [0.301, 0.303, 0.559], [0.303, 0.301, 0.059], [0.699, 0.697, 0.441], [0.865, 0.155, 0.636], [0.845, 0.135, 0.864], [0.135, 0.845, 0.364], [0.155, 0.865, 0.136], [0.763, 0.777, 0.658], [0.223, 0.237, 0.842], [0.237, 0.223, 0.342], [0.777, 0.763, 0.158], [0.767, 0.233, 0.750], [0.233, 0.767, 0.250], [0.689, 0.307, 0.934], [0.693, 0.311, 0.566], [0.311, 0.693, 0.066], [0.307, 0.689, 0.434], [0.882, 0.897, 0.894], [0.103, 0.118, 0.606], [0.118, 0.103, 0.106], [0.897, 0.882, 0.394], [0.900, 0.907, 0.655], [0.093, 0.100, 0.845], [0.306, 0.292, 0.228], [0.708, 0.694, 0.272], [0.694, 0.708, 0.772], [0.292, 0.306, 0.728], [0.925, 0.567, 0.096], [0.433, 0.075, 0.404], [0.075, 0.433, 0.904], [0.567, 0.925, 0.596], [0.581, 0.922, 0.097], [0.078, 0.419, 0.403], [0.419, 0.078, 0.903], [0.922, 0.581, 0.597], [0.907, 0.900, 0.155], [0.100, 0.093, 0.345]]
}

***

No. 6
{
  "formula": "HfMg6Zr",
  "functional": "GGA-PBE",
  "state": "optimized geometry",
  "delta_e_f_ev_per_atom": 0.14,
  "relative_energy_mev_per_atom": 30,
  "total_magnetization_mub_per_cell": 0.004,
  "lattice_angstrom": [[-4.337, 1.365, 2.311], [-1.798, -5.793, 0.047], [5.058, -1.486, 10.371]],
  "species": ["Hf", "Hf", "Mg", "Mg", "Mg", "Mg", "Mg", "Mg", "Mg", "Mg", "Mg", "Mg", "Mg", "Mg", "Zr", "Zr"],
  "frac_coords": [[0.500, 0.500, 0.172], [0.500, 0.000, 0.672], [0.500, 0.250, 0.423], [0.500, 0.750, 0.423], [0.000, 0.751, 0.080], [0.000, 0.249, 0.080], [0.000, 0.000, 0.326], [0.000, 0.500, 0.324], [0.500, 0.750, 0.923], [0.500, 0.250, 0.923], [0.000, 0.251, 0.580], [0.000, 0.749, 0.580], [0.000, 0.500, 0.826], [0.000, 0.000, 0.824], [0.500, 0.000, 0.172], [0.500, 0.500, 0.672]]
}